<P>
A relaxed Er2P4O13 crystal, computed with PBE-GGA.

- density (Mg/m³) = 4.41
- crystal system = monoclinic

Unit cell a=11.944 b=6.758 c=12.947 alpha=90.00 beta=106.12 gamma=90.00
Space group C2/c (No. 15)
Inequivalent atoms, fractional coordinates:
Er1 0.194 0.002 0.051 x8
P1 0.012 0.351 0.867 x8
P2 0.233 0.493 0.660 x8
O1 0.000 0.254 0.750 x4
O2 0.005 0.178 0.941 x8
O3 0.097 0.496 0.653 x8
O4 0.113 0.490 0.897 x8
O5 0.199 0.006 0.223 x8
O6 0.244 0.182 0.407 x8
O7 0.249 0.175 0.905 x8

---

<Q>
A relaxed Er2P4O13 crystal, computed with PBE-GGA.

- density (Mg/m³) = 3.93
- crystal system = monoclinic

Unit cell a=8.782 b=9.614 c=13.899 alpha=90.00 beta=106.21 gamma=90.00
Space group P2_1/c (No. 14)
Inequivalent atoms, fractional coordinates:
Er1 0.027 0.003 0.221 x4
Er2 0.447 0.501 0.738 x4
P1 0.145 0.240 0.437 x4
P2 0.217 0.205 0.657 x4
P3 0.288 0.730 0.346 x4
P4 0.496 0.250 0.440 x4
O1 0.040 0.134 0.913 x4
O2 0.111 0.122 0.363 x4
O3 0.119 0.129 0.715 x4
O4 0.130 0.177 0.540 x4
O5 0.138 0.663 0.359 x4
O6 0.219 0.134 0.173 x4
O7 0.253 0.636 0.780 x4
O8 0.328 0.205 0.960 x4
O9 0.383 0.148 0.676 x4
O10 0.390 0.628 0.309 x4
O11 0.392 0.709 0.953 x4
O12 0.435 0.625 0.599 x4
O13 0.470 0.120 0.377 x4

---

<R>
A relaxed Er2P4O13 crystal, computed with PBE-GGA.

- density (Mg/m³) = 3.86
- crystal system = monoclinic

Unit cell a=8.691 b=9.733 c=14.032 alpha=90.00 beta=105.17 gamma=90.00
Space group P2_1/c (No. 14)
Inequivalent atoms, fractional coordinates:
Er1 0.213 0.004 0.012 x4
Er2 0.285 0.001 0.490 x4
P1 0.030 0.219 0.595 x4
P2 0.114 0.245 0.314 x4
P3 0.236 0.731 0.184 x4
P4 0.460 0.719 0.401 x4
O1 0.011 0.129 0.059 x4
O2 0.068 0.691 0.207 x4
O3 0.125 0.137 0.538 x4
O4 0.126 0.652 0.902 x4
O5 0.139 0.124 0.874 x4
O6 0.139 0.223 0.708 x4
O7 0.226 0.128 0.355 x4
O8 0.228 0.625 0.643 x4
O9 0.281 0.619 0.123 x4
O10 0.363 0.632 0.455 x4
O11 0.363 0.729 0.287 x4
O12 0.382 0.153 0.098 x4
O13 0.482 0.630 0.941 x4

---

<Q> wins, 0.006 eV/atom ahead of the next structure.

---

<P>
A relaxed Er2Se3O12 crystal, computed with PBE-GGA.

- density (Mg/m³) = 4.48
- crystal system = monoclinic

Unit cell a=12.581 b=7.374 c=6.401 alpha=90.00 beta=107.76 gamma=90.00
Space group C2 (No. 5)
Inequivalent atoms, fractional coordinates:
Er1 0.204 0.000 0.341 x4
Se1 0.000 0.282 0.500 x2
Se2 0.146 0.569 0.011 x4
O1 0.042 0.153 0.323 x4
O2 0.084 0.757 0.906 x4
O3 0.105 0.418 0.633 x4
O4 0.193 0.736 0.501 x4
O5 0.225 0.072 0.028 x4
O6 0.238 0.658 0.329 x4

---

<Q>
A relaxed Er2Se3O12 crystal, computed with PBE-GGA.

- density (Mg/m³) = 4.60
- crystal system = monoclinic

Unit cell a=12.209 b=7.047 c=6.553 alpha=90.00 beta=102.23 gamma=90.00
Space group C2 (No. 5)
Inequivalent atoms, fractional coordinates:
Er1 0.210 0.000 0.362 x4
Se1 0.000 0.683 0.500 x2
Se2 0.208 0.528 0.129 x4
O1 0.047 0.820 0.329 x4
O2 0.064 0.224 0.296 x4
O3 0.103 0.542 0.623 x4
O4 0.194 0.994 0.014 x4
O5 0.230 0.183 0.674 x4
O6 0.233 0.334 0.306 x4

---

<Q> wins, 0.102 eV/atom ahead of the next structure.

---

<P>
A relaxed Er3TaO7 crystal, computed with PBE-GGA.

- density (Mg/m³) = 8.99
- crystal system = orthorhombic

Unit cell a=7.429 b=10.526 c=7.508 alpha=90.00 beta=90.00 gamma=90.00
Space group Pnma (No. 62)
Inequivalent atoms, fractional coordinates:
Er1 0.012 0.250 0.205 x4
Er2 0.248 0.020 0.532 x8
Ta1 0.001 0.250 0.748 x4
O1 0.036 0.124 0.954 x8
O2 0.040 0.612 0.418 x8
O3 0.245 0.616 0.769 x8
O4 0.248 0.250 0.664 x4

---

<Q>
A relaxed Er3TaO7 crystal, computed with PBE-GGA.

- density (Mg/m³) = 9.09
- crystal system = orthorhombic

Unit cell a=10.523 b=7.348 c=7.511 alpha=90.00 beta=90.00 gamma=90.00
Space group Cmcm (No. 63)
Inequivalent atoms, fractional coordinates:
Er1 0.000 0.000 0.000 x4
Er2 0.233 0.279 0.250 x8
Ta1 0.000 0.500 0.000 x4
O1 0.000 0.429 0.250 x4
O2 0.130 0.304 0.531 x16
O3 0.133 0.017 0.250 x8

---

<R>
A relaxed Er3TaO7 crystal, computed with PBE-GGA.

- density (Mg/m³) = 9.04
- maximum piezoelectric response (C/m²) = 0.272
- crystal system = orthorhombic

Unit cell a=7.470 b=10.488 c=7.453 alpha=90.00 beta=90.00 gamma=90.00
Space group C222_1 (No. 20)
Inequivalent atoms, fractional coordinates:
Er1 0.026 0.000 0.000 x4
Er2 0.232 0.267 0.753 x8
Ta1 0.002 0.500 0.000 x4
O1 0.000 0.129 0.250 x4
O2 0.000 0.139 0.750 x4
O3 0.000 0.430 0.750 x4
O4 0.188 0.372 0.038 x8
O5 0.205 0.377 0.470 x8

---

<S>
A relaxed Er3TaO7 crystal, computed with PBE-GGA.

- density (Mg/m³) = 9.02
- crystal system = triclinic

Unit cell a=6.350 b=6.439 c=7.550 alpha=73.20 beta=89.64 gamma=82.27
Space group P-1 (No. 2)
Inequivalent atoms, fractional coordinates:
Er1 0.045 0.007 0.250 x2
Er2 0.232 0.542 0.109 x2
Er3 0.237 0.539 0.615 x2
Ta1 0.500 0.000 0.000 x1
Ta2 0.500 0.000 0.500 x1
O1 0.043 0.639 0.843 x2
O2 0.058 0.651 0.333 x2
O3 0.207 0.927 0.552 x2
O4 0.207 0.935 0.980 x2
O5 0.404 0.061 0.234 x2
O6 0.423 0.321 0.460 x2
O7 0.432 0.334 0.886 x2

---

<S> wins, 0.006 eV/atom ahead of the next structure.